# 1
Density functional theory data (PBE-GGA) for a relaxed structure of CaCu.

abc: 38.380 4.263 5.806
angles: 90.00 90.00 90.00
Atoms (fractional coordinates):
Ca 0.036 0.250 0.128
Ca 0.064 0.750 0.628
Ca 0.136 0.250 0.372
Ca 0.164 0.750 0.876
Ca 0.236 0.250 0.623
Ca 0.264 0.750 0.123
Ca 0.336 0.250 0.376
Ca 0.364 0.750 0.872
Ca 0.436 0.250 0.128
Ca 0.464 0.750 0.628
Ca 0.536 0.250 0.372
Ca 0.564 0.750 0.872
Ca 0.636 0.250 0.128
Ca 0.664 0.750 0.624
Ca 0.736 0.250 0.877
Ca 0.764 0.750 0.377
Ca 0.836 0.250 0.124
Ca 0.864 0.750 0.628
Ca 0.936 0.250 0.372
Ca 0.964 0.750 0.872
Cu 0.006 0.250 0.607
Cu 0.094 0.750 0.107
Cu 0.106 0.250 0.893
Cu 0.194 0.750 0.355
Cu 0.206 0.250 0.142
Cu 0.294 0.750 0.642
Cu 0.306 0.250 0.855
Cu 0.394 0.750 0.393
Cu 0.406 0.250 0.607
Cu 0.494 0.750 0.107
Cu 0.506 0.250 0.893
Cu 0.594 0.750 0.393
Cu 0.606 0.250 0.607
Cu 0.694 0.750 0.145
Cu 0.706 0.250 0.358
Cu 0.794 0.750 0.858
Cu 0.806 0.250 0.645
Cu 0.894 0.750 0.107
Cu 0.906 0.250 0.893
Cu 0.994 0.750 0.393

# 2
Density functional theory data (PBE-GGA) for a relaxed structure of CaEu2Cu2O6.

abc: 8.292 8.292 6.306
angles: 104.55 104.55 44.22
Atoms (fractional coordinates):
Ca 0.052 0.948 0.750
Ca 0.948 0.052 0.250
Eu 0.009 0.385 0.720
Eu 0.385 0.009 0.220
Eu 0.615 0.991 0.780
Eu 0.991 0.615 0.280
Cu 0.322 0.512 0.001
Cu 0.488 0.678 0.499
Cu 0.512 0.322 0.501
Cu 0.678 0.488 0.999
O 0.007 0.231 0.025
O 0.231 0.007 0.525
O 0.274 0.648 0.476
O 0.293 0.305 0.514
O 0.305 0.293 0.014
O 0.352 0.726 0.024
O 0.648 0.274 0.976
O 0.695 0.707 0.986
O 0.707 0.695 0.486
O 0.726 0.352 0.524
O 0.769 0.993 0.475
O 0.993 0.769 0.975

# 3
Density functional theory data (PBE-GGA) for a relaxed structure of Ca2EuCu2O6.

abc: 8.224 8.224 6.327
angles: 105.56 105.56 44.07
Atoms (fractional coordinates):
Ca 0.043 0.957 0.500
Ca 0.613 0.992 0.527
Ca 0.957 0.043 0.000
Ca 0.992 0.613 0.027
Eu 0.015 0.398 0.476
Eu 0.398 0.015 0.976
Cu 0.328 0.511 0.757
Cu 0.493 0.679 0.244
Cu 0.511 0.328 0.257
Cu 0.679 0.493 0.744
O 0.010 0.241 0.771
O 0.241 0.010 0.271
O 0.275 0.654 0.226
O 0.291 0.319 0.276
O 0.319 0.291 0.776
O 0.351 0.731 0.775
O 0.654 0.275 0.726
O 0.692 0.709 0.725
O 0.709 0.692 0.225
O 0.731 0.351 0.275
O 0.759 0.998 0.225
O 0.998 0.759 0.725

# 4
Density functional theory data (PBE-GGA) for a relaxed structure of CaCuF5.

Output
The calculation puts the energy above the most stable polymorph in this dataset at 0.6 kJ per mole of atoms.

abc: 5.488 10.023 7.728
angles: 90.00 110.33 90.00
Atoms (fractional coordinates):
Ca 0.030 0.021 0.256
Ca 0.030 0.479 0.756
Ca 0.970 0.521 0.244
Ca 0.970 0.979 0.744
Cu 0.391 0.246 0.599
Cu 0.391 0.254 0.099
Cu 0.609 0.746 0.901
Cu 0.609 0.754 0.401
F 0.112 0.118 0.555
F 0.112 0.382 0.055
F 0.145 0.112 0.008
F 0.145 0.388 0.508
F 0.334 0.638 0.361
F 0.334 0.862 0.861
F 0.348 0.203 0.337
F 0.348 0.297 0.837
F 0.382 0.606 0.812
F 0.382 0.894 0.312
F 0.618 0.106 0.688
F 0.618 0.394 0.188
F 0.652 0.703 0.163
F 0.652 0.797 0.663
F 0.666 0.138 0.139
F 0.666 0.362 0.639
F 0.855 0.612 0.492
F 0.855 0.888 0.992
F 0.888 0.618 0.945
F 0.888 0.882 0.445

# 5
Density functional theory data (PBE-GGA) for a relaxed structure of CaCuF4.

abc: 6.492 6.492 6.492
angles: 130.03 130.03 73.35
Atoms (fractional coordinates):
Ca 0.250 0.250 0.000
Ca 0.750 0.750 0.000
Cu 0.000 0.500 0.500
Cu 0.500 0.000 0.500
F 0.049 0.549 0.856
F 0.194 0.049 0.500
F 0.306 0.806 0.856
F 0.451 0.306 0.500
F 0.549 0.694 0.500
F 0.694 0.194 0.144
F 0.806 0.951 0.500
F 0.951 0.451 0.144

# 6
Density functional theory data (PBE-GGA) for a relaxed structure of CaCuF5.

Output
The calculation puts the energy above the most stable polymorph in this dataset at 0.0 kJ per mole of atoms.

abc: 5.544 5.555 7.711
angles: 69.38 69.64 71.16
Atoms (fractional coordinates):
Ca 0.000 0.000 0.000
Ca 0.087 0.908 0.504
Cu 0.539 0.456 0.248
Cu 0.542 0.455 0.750
F 0.234 0.748 0.226
F 0.261 0.769 0.773
F 0.289 0.251 0.871
F 0.327 0.221 0.364
F 0.470 0.519 0.504
F 0.609 0.384 0.997
F 0.749 0.695 0.132
F 0.792 0.664 0.629
F 0.829 0.146 0.729
F 0.848 0.170 0.273

# 7
Density functional theory data (PBE-GGA) for a relaxed structure of CaCuF5.

Output
The calculation puts the energy above the most stable polymorph in this dataset at 1.0 kJ per mole of atoms.

abc: 5.544 5.555 7.711
angles: 69.38 69.64 71.16
Atoms (fractional coordinates):
Ca 0.042 0.457 0.250
Ca 0.958 0.543 0.750
Cu 0.500 0.000 0.000
Cu 0.500 0.000 0.500
F 0.194 0.287 0.978
F 0.213 0.311 0.522
F 0.250 0.792 0.622
F 0.286 0.764 0.114
F 0.428 0.063 0.254
F 0.572 0.937 0.746
F 0.714 0.236 0.886
F 0.750 0.208 0.378
F 0.787 0.689 0.478
F 0.806 0.713 0.022

# 8
Density functional theory data (PBE-GGA) for a relaxed structure of CaGaCu.

abc: 5.514 5.514 7.220
angles: 127.99 127.99 47.74
Atoms (fractional coordinates):
Ca 0.052 0.052 0.306
Ca 0.948 0.948 0.694
Ga 0.330 0.330 0.892
Ga 0.670 0.670 0.108
Cu 0.335 0.335 0.273
Cu 0.665 0.665 0.727

# 9
Density functional theory data (PBE-GGA) for a relaxed structure of Ca2GaCu2.

abc: 5.687 5.687 5.687
angles: 136.33 122.18 75.18
Atoms (fractional coordinates):
Ca 0.196 0.196 0.000
Ca 0.804 0.804 0.000
Ga 0.500 0.000 0.500
Cu 0.240 0.500 0.740
Cu 0.760 0.500 0.260

# 10
Density functional theory data (PBE-GGA) for a relaxed structure of CaLaGaCuO5.

abc: 8.945 8.945 5.307
angles: 107.20 107.20 128.98
Atoms (fractional coordinates):
Ca 0.140 0.860 0.000
Ca 0.860 0.140 0.000
La 0.404 0.698 0.046
La 0.698 0.404 0.046
Ga 0.089 0.089 0.626
Ga 0.463 0.463 0.492
Cu 0.276 0.777 0.517
Cu 0.777 0.276 0.517
O 0.032 0.513 0.016
O 0.037 0.517 0.517
O 0.056 0.856 0.410
O 0.147 0.147 0.041
O 0.407 0.407 0.800
O 0.503 0.702 0.560
O 0.513 0.032 0.016
O 0.517 0.037 0.517
O 0.702 0.503 0.560
O 0.856 0.056 0.410

# 11
Density functional theory data (PBE-GGA) for a relaxed structure of CaNb2Ga2Cu3O12.

Output
The calculation puts the energy above the most stable polymorph in this dataset at 2.2 kJ per mole of atoms.

abc: 6.546 6.546 7.564
angles: 125.02 125.02 70.70
Atoms (fractional coordinates):
Ca 0.000 0.000 0.000
Nb 0.000 0.500 0.500
Nb 0.500 0.000 0.500
Ga 0.000 0.500 0.000
Ga 0.500 0.000 0.000
Cu 0.000 0.000 0.500
Cu 0.500 0.500 0.000
Cu 0.500 0.500 0.500
O 0.131 0.479 0.306
O 0.173 0.173 0.869
O 0.174 0.174 0.478
O 0.302 0.693 0.824
O 0.307 0.698 0.176
O 0.479 0.131 0.306
O 0.521 0.869 0.694
O 0.693 0.302 0.824
O 0.698 0.307 0.176
O 0.826 0.826 0.522
O 0.827 0.827 0.131
O 0.869 0.521 0.694

# 12
Density functional theory data (PBE-GGA) for a relaxed structure of CaNb2Ga2Cu3O12.

Output
The calculation puts the energy above the most stable polymorph in this dataset at 0.0 kJ per mole of atoms.

abc: 7.563 7.563 7.563
angles: 90.00 90.00 90.00
Atoms (fractional coordinates):
Ca 0.250 0.250 0.250
Ca 0.750 0.750 0.750
Nb 0.000 0.000 0.000
Nb 0.000 0.500 0.500
Nb 0.500 0.000 0.500
Nb 0.500 0.500 0.000
Ga 0.000 0.000 0.500
Ga 0.000 0.500 0.000
Ga 0.500 0.000 0.000
Ga 0.500 0.500 0.500
Cu 0.250 0.250 0.750
Cu 0.250 0.750 0.250
Cu 0.250 0.750 0.750
Cu 0.750 0.250 0.250
Cu 0.750 0.250 0.750
Cu 0.750 0.750 0.250
O 0.054 0.749 0.925
O 0.054 0.751 0.575
O 0.075 0.554 0.249
O 0.075 0.946 0.251
O 0.249 0.075 0.554
O 0.249 0.425 0.946
O 0.251 0.075 0.946
O 0.251 0.425 0.554
O 0.425 0.554 0.251
O 0.425 0.946 0.249
O 0.446 0.749 0.575
O 0.446 0.751 0.925
O 0.554 0.249 0.075
O 0.554 0.251 0.425
O 0.575 0.054 0.751
O 0.575 0.446 0.749
O 0.749 0.575 0.446
O 0.749 0.925 0.054
O 0.751 0.575 0.054
O 0.751 0.925 0.446
O 0.925 0.054 0.749
O 0.925 0.446 0.751
O 0.946 0.249 0.425
O 0.946 0.251 0.075

Calculated energy of formation from the pure elements (eV per formula unit), listed in the same order as above: -0.3, -26.1, -25.6, -19.3, -18.2, -19.4, -19.3, -1.0, -1.5, -23.9, -44.0, -44.4
Calculated final energy (eV per formula unit), listed in the same order as above: -6.39, -82.38, -73.62, -32.69, -30.15, -32.73, -32.66, -10.17, -16.73, -59.22, -135.65, -136.10